The following is a PBE calculation of a relaxed structure of K4GeP4Se12, from the Materials Project database. Values from VASP.

Output
**E_tot**: -3.99 eV per atom
**E_form**: -16.8 eV/f.u.

Structure (Quantum ESPRESSO input):
```
&SYSTEM
  ibrav = 0, nat = 84, ntyp = 4
/
ATOMIC_SPECIES
Se 78.96 Se.upf
K 39.10 K.upf
P 30.97 P.upf
Ge 72.64 Ge.upf
CELL_PARAMETERS angstrom
0.0000 -7.4073 0.0000
-14.3104 0.0000 0.0000
0.0000 0.0000 -24.5362
ATOMIC_POSITIONS angstrom
Se -2.5936 -6.7361 -13.1565
Se -13.0347 -3.1621 -16.7039
Se -13.4545 -3.4023 -8.0071
Se -4.3892 -2.3184 -19.5353
Se -3.5889 -3.5018 -1.5498
Se -2.7660 -2.3184 -7.2672
Se -9.3571 -2.3820 -17.0538
Se -8.0683 -7.0268 -10.0943
Se -1.2757 -4.2452 -4.4358
Se -6.9516 -5.6931 -13.3433
Se -1.6918 -4.1763 -10.7132
Se -0.8556 -0.1351 -19.3871
Se -13.3973 -7.0268 -22.3624
Se -3.5663 -3.5018 -13.8179
Se -11.8126 -5.3993 -10.6057
Se -6.2996 -0.1351 -7.1190
Se -8.0111 -3.4023 -20.2752
Se -4.9532 -5.0253 -4.7857
Se -0.2036 -5.6931 -1.0752
Se -12.6186 -3.2310 -22.9813
Se -11.5444 -5.0889 -19.5353
Se -8.8470 -3.2310 -10.7132
Se -0.9131 -0.3805 -10.0943
Se -9.0619 -6.7914 -4.1795
Se -10.7441 -3.9055 -1.5498
Se -6.2421 -0.3805 -22.3624
Se -5.4634 -4.1763 -22.9813
Se -9.7488 -0.6712 -13.1565
Se -4.6574 -2.0080 -10.6057
Se -7.3588 -1.7142 -1.0752
Se -12.4036 -6.7914 -16.4475
Se -8.4309 -3.1621 -4.4358
Se -11.7168 -0.6712 -0.8884
Se -13.4548 -7.2721 -7.1190
Se -12.1084 -2.3820 -4.7857
Se -5.8795 -4.2452 -16.7039
Se -4.5616 -6.7361 -0.8884
Se -9.9212 -5.0889 -7.2672
Se -6.2993 -4.0050 -8.0071
Se -1.9067 -0.6159 -4.1795
Se -2.4978 -2.0080 -22.8738
Se -8.0108 -7.2721 -19.3871
Se -5.2484 -0.6159 -16.4475
Se -10.7215 -3.9055 -13.8179
Se -0.8559 -4.0050 -20.2752
Se -14.1068 -1.7142 -13.3433
Se -2.2020 -5.0253 -17.0538
Se -9.6530 -5.3993 -22.8738
K -5.3759 -1.3450 -3.9100
K -9.6645 -1.2769 -6.9086
K -1.7793 -1.3450 -16.1780
K -0.3712 -2.2432 -1.5678
K -13.9392 -5.1641 -13.8358
K -7.5264 -5.1641 -1.5678
K -6.7840 -2.2432 -13.8358
K -4.6459 -6.1304 -19.1767
K -4.8089 -5.9282 -10.7892
K -12.5311 -6.0623 -3.9100
K -8.9345 -6.0623 -16.1780
K -2.3463 -5.9282 -23.0573
K -11.9641 -1.4790 -10.7892
K -2.5093 -6.1304 -6.9086
K -9.5015 -1.4790 -23.0573
K -11.8011 -1.2769 -19.1767
P -8.6859 -6.4113 -12.2642
P -3.0588 -2.6708 -11.9104
P -1.5307 -0.9960 -12.2642
P -12.9665 -5.0892 -17.6547
P -4.0964 -2.6708 -24.1785
P -5.6245 -0.9960 -24.5323
P -7.8991 -1.8589 -18.5365
P -8.4991 -5.0892 -5.3866
P -13.5665 -1.8589 -6.2685
P -12.7797 -6.4113 -24.5323
P -11.2516 -4.7365 -24.1785
P -10.2140 -4.7365 -11.9104
P -1.3439 -2.3180 -5.3866
P -5.8113 -2.3180 -17.6547
P -6.4113 -5.5484 -6.2685
P -0.7439 -5.5484 -18.5365
Ge -13.1644 -4.8626 -21.3028
Ge -8.3012 -4.8626 -9.0348
Ge -1.1460 -2.5447 -9.0348
Ge -6.0092 -2.5447 -21.3028
```


The following is a PBE calculation of a relaxed structure of K2Ge2PbS6, from the Materials Project database. Values from VASP.

Output
**E_tot**: -4.37 eV per atom
**E_form**: -11.1 eV/f.u.

Structure (Quantum ESPRESSO input):
```
&SYSTEM
  ibrav = 0, nat = 22, ntyp = 4
/
ATOMIC_SPECIES
K 39.10 K.upf
Ge 72.64 Ge.upf
Pb 207.20 Pb.upf
S 32.06 S.upf
CELL_PARAMETERS angstrom
-7.1879 -2.3049 4.3386
-0.2771 -1.7418 -8.5259
3.5892 -8.2731 1.5660
ATOMIC_POSITIONS angstrom
K -0.0004 -10.4692 -2.7367
K -3.6918 -6.4872 0.0111
K -0.1839 -5.8325 -2.6324
K -3.8753 -1.8505 0.1154
Ge 3.1100 -8.4367 -1.3570
Ge -6.9858 -3.8830 -1.2643
Ge -2.9778 -7.8393 -4.6013
Ge -0.8979 -4.4805 1.9800
Pb -6.2123 -4.3668 4.5843
Pb 2.3366 -7.9530 -7.2056
S -0.1276 -2.3649 -3.4768
S -4.9804 -4.2355 -2.0601
S -3.7482 -9.9549 0.8555
S -1.3566 -4.0021 -0.1032
S 0.7882 -5.4618 -5.9108
S 1.1046 -8.0843 -0.5612
S -4.6639 -6.8580 3.2895
S -2.5191 -8.3177 -2.5181
S -1.0844 -6.7256 2.4279
S -1.3840 -2.3080 -6.9397
S -2.4917 -10.0118 4.3184
S -2.7914 -5.5941 -5.0492
```


The following is a PBE calculation of a relaxed structure of KPrGeSe4, from the Materials Project database. Values from VASP.

Output
**E_tot**: -4.64 eV per atom
**E_form**: -9.9 eV/f.u.

Structure (Quantum ESPRESSO input):
```
&SYSTEM
  ibrav = 0, nat = 14, ntyp = 4
/
ATOMIC_SPECIES
Se 78.96 Se.upf
K 39.10 K.upf
Pr 140.91 Pr.upf
Ge 72.64 Ge.upf
CELL_PARAMETERS angstrom
-0.0723 4.8979 5.2148
0.3169 -5.0787 4.7745
8.8819 -1.6736 1.6951
ATOMIC_POSITIONS angstrom
Se 2.8222 -1.8401 9.0538
Se 3.8313 1.5445 7.4634
Se 7.5431 1.1660 8.4708
Se 2.4063 0.5174 1.8000
Se 6.7232 -2.5728 9.6704
Se 5.2731 -1.9031 5.8135
Se 6.3054 -0.0898 2.5502
Se 1.5524 -0.9254 5.4440
K 8.3674 -0.4398 5.3947
K 0.7236 0.9919 8.8519
Pr 5.1497 -4.8353 4.6237
Pr 4.0128 0.5427 4.4648
Ge 6.0143 2.4809 7.2571
Ge 3.0806 -2.1979 6.7029
```


The following is a PBE calculation of a relaxed structure of K4GeS4, from the Materials Project database. Values from VASP.

Output
**E_tot**: -3.91 eV per atom
**E_form**: -11.6 eV/f.u.

Structure (Quantum ESPRESSO input):
```
&SYSTEM
  ibrav = 0, nat = 72, ntyp = 3
/
ATOMIC_SPECIES
S 32.06 S.upf
K 39.10 K.upf
Ge 72.64 Ge.upf
CELL_PARAMETERS angstrom
12.9257 0.0000 0.0000
0.0000 12.9257 0.0000
0.0000 0.0000 12.9257
ATOMIC_POSITIONS angstrom
S 11.5027 2.0049 7.6997
S 11.6307 11.6307 11.6307
S 10.9209 7.6997 1.4231
S 1.2369 4.4580 7.8859
S 4.4580 5.0398 11.6888
S 5.0398 11.6888 4.4580
S 1.2369 8.4677 5.0398
S 4.4580 7.8859 1.2369
S 11.6888 4.4580 5.0398
S 7.7579 5.1678 7.7579
S 5.2260 11.5027 10.9209
S 1.2950 11.6307 1.2950
S 11.6888 8.4677 7.8859
S 2.0049 5.2260 1.4231
S 8.4677 5.0398 1.2369
S 1.4231 10.9209 7.6997
S 1.2950 1.2950 11.6307
S 7.6997 11.5027 2.0049
S 7.8859 11.6888 8.4677
S 1.4231 2.0049 5.2260
S 11.6307 1.2950 1.2950
S 7.6997 1.4231 10.9209
S 5.1678 5.1678 5.1678
S 5.0398 1.2369 8.4677
S 11.5027 10.9209 5.2260
S 10.9209 5.2260 11.5027
S 7.7579 7.7579 5.1678
S 5.1678 7.7579 7.7579
S 2.0049 7.6997 11.5027
S 5.2260 1.4231 2.0049
S 8.4677 7.8859 11.6888
S 7.8859 1.2369 4.4580
K 4.5137 11.1881 1.1123
K 5.3506 4.7252 1.9492
K 7.5751 4.7252 10.9766
K 10.9766 7.5751 4.7252
K 8.4285 8.4285 8.4285
K 7.5751 8.2005 1.9492
K 10.9766 5.3506 8.2005
K 1.9656 10.9601 10.9601
K 1.7376 11.8135 4.5137
K 8.2005 1.9492 7.5751
K 10.9601 10.9601 1.9656
K 4.5137 1.7376 11.8135
K 10.9601 1.9656 10.9601
K 4.4972 4.4972 8.4285
K 11.1881 11.8135 8.4120
K 11.1881 1.1123 4.5137
K 4.7252 10.9766 7.5751
K 4.7252 1.9492 5.3506
K 1.1123 8.4120 1.7376
K 8.4120 1.7376 1.1123
K 1.7376 1.1123 8.4120
K 11.8135 8.4120 11.1881
K 8.4120 11.1881 11.8135
K 1.9492 7.5751 8.2005
K 1.9656 1.9656 1.9656
K 5.3506 8.2005 10.9766
K 8.2005 10.9766 5.3506
K 4.4972 8.4285 4.4972
K 1.9492 5.3506 4.7252
K 8.4285 4.4972 4.4972
K 11.8135 4.5137 1.7376
K 1.1123 4.5137 11.1881
Ge 9.6943 6.4629 0.0000
Ge 0.0000 9.6943 6.4629
Ge 6.4629 0.0000 9.6943
Ge 0.0000 3.2314 6.4629
Ge 6.4629 0.0000 3.2314
Ge 3.2314 6.4629 0.0000
Ge 0.0000 0.0000 0.0000
Ge 6.4629 6.4629 6.4629
```